HoFeNi4 | PBE | optimized geometry

a b c (Å): 4.9079 4.9079 3.9386
angles (deg): 90.00 90.00 120.00
Sites, in units of the cell vectors:
Ho1 0.0000 0.0000 0.0000
Fe1 0.3333 0.6667 0.0000
Ni1 0.5003 0.0006 0.5000
Ni2 0.5003 0.4997 0.5000
Ni3 0.6667 0.3333 0.0000
Ni4 0.9994 0.4997 0.5000

Results
The value obtained for the total magnetic moment is 4.02 μB per cell. The space-group type is P-6m2 (187). The value obtained for the formation energy is -257 meV/atom. The volume comes out at 13.69 Å³ per atom.